(1)
# ErThCN

Crystalline ErThCN at its relaxed geometry (PBE, the Materials Project database).

Computed properties:
The calculation puts the formation energy at -1039 meV/atom. The MP2020-corrected energy comes out at -8.43 eV/atom.

a b c (Å): 3.6478 3.6478 5.0769
angles (deg): 90.00 90.00 90.00
Last column: nearest neighbours and their distance in Å.
Space group P4/mmm (No. 123)
One atom of each set of equivalent atoms:
Er (0.0000, 0.0000, 0.0000) (multiplicity 1)  2 C 2.54, 4 N 2.58
Th (0.5000, 0.5000, 0.5000) (multiplicity 1)  2 N 2.54, 4 C 2.58
C (0.0000, 0.0000, 0.5000) (multiplicity 1)  2 Er 2.54, 4 Th 2.58
N (0.5000, 0.5000, 0.0000) (multiplicity 1)  2 Th 2.54, 4 Er 2.58

=====

(2)
# Na2ErPCO7

Crystalline Na2ErPCO7 at its relaxed geometry (PBE, the Materials Project database).

Computed properties:
The calculation puts the formation energy at -2768 meV/atom. The MP2020-corrected energy comes out at -7.48 eV/atom.

a b c (Å): 5.3318 6.9525 9.2072
angles (deg): 90.00 91.12 90.00
Last column: nearest neighbours and their distance in Å.
Space group P2_1/m (No. 11)
One atom of each set of equivalent atoms:
Na (0.2340, 0.0045, 0.2228) (multiplicity 4)  3 O 2.24-2.48
Er (0.2277, 0.2500, 0.6407) (multiplicity 2)  6 O 2.22-2.29
P (0.2912, 0.7500, 0.5817) (multiplicity 2)  4 O 1.54-1.58
C (0.2686, 0.2500, 0.9332) (multiplicity 2)  3 O 1.25-1.34
O (0.0487, 0.2500, 0.8648) (multiplicity 2)  1 C 1.32
O (0.1850, 0.7500, 0.4208) (multiplicity 2)  1 P 1.58
O (0.2024, 0.5673, 0.6604) (multiplicity 4)  1 P 1.54
O (0.2921, 0.2500, 0.0690) (multiplicity 2)  1 C 1.25
O (0.4160, 0.2500, 0.4261) (multiplicity 2)  1 P 1.56
O (0.4650, 0.2500, 0.8453) (multiplicity 2)  1 C 1.34

=====

(3)
# ErC2O6

Crystalline ErC2O6 at its relaxed geometry (PBE, the Materials Project database).

Computed properties:
The calculation puts the formation energy at -2009 meV/atom. The MP2020-corrected energy comes out at -7.87 eV/atom.

a b c (Å): 7.6905 15.0372 4.7963
angles (deg): 90.00 90.02 90.00
Last column: nearest neighbours and their distance in Å.
Space group Cm (No. 8)
One atom of each set of equivalent atoms:
Er (0.0000, 0.2027, 0.0000) (multiplicity 4)  9 O 2.31-2.46
C (0.1007, 0.0000, 0.9997) (multiplicity 2)  2 O 1.26
C (0.3057, 0.2744, 0.5043) (multiplicity 4)  3 O 1.29-1.30
C (0.3928, 0.5000, 0.9997) (multiplicity 2)  2 O 1.26
O (0.0013, 0.3590, 0.0993) (multiplicity 4)  1 Er 2.40, 1 O 2.57
O (0.1704, 0.0759, 0.9995) (multiplicity 4)  1 C 1.26
O (0.2418, 0.2526, 0.2636) (multiplicity 4)  1 C 1.30
O (0.2432, 0.2518, 0.7425) (multiplicity 4)  1 C 1.29
O (0.3239, 0.4240, 0.9994) (multiplicity 4)  1 C 1.26
O (0.4503, 0.3191, 0.5026) (multiplicity 4)  1 C 1.30

=====

(4)
# Er12Os5C15

Crystalline Er12Os5C15 at its relaxed geometry (PBE, the Materials Project database).

Computed properties:
The calculation puts the formation energy at -362 meV/atom.

a b c (Å): 10.6492 10.6492 5.0218
angles (deg): 90.00 90.00 120.00
Last column: nearest neighbours and their distance in Å.
Space group P-62m (No. 189)
One atom of each set of equivalent atoms:
Er (0.0000, 0.4341, 0.0000) (multiplicity 3)  6 C 2.53-2.72
Er (0.0000, 0.7933, 0.0000) (multiplicity 3)  4 C 2.47-2.51
Er (0.1832, 0.7274, 0.5000) (multiplicity 6)  5 C 2.35-2.52
Os (0.0000, 0.1609, 0.5000) (multiplicity 3)  3 C 1.87-2.03
Os (0.3333, 0.6667, 0.0000) (multiplicity 2)  3 C 1.92
C (0.0000, 0.3368, 0.5000) (multiplicity 3)  1 C 1.34
C (0.0000, 0.4627, 0.5000) (multiplicity 3)  1 C 1.34
C (0.0000, 0.7894, 0.5000) (multiplicity 3)  2 Os 2.03
C (0.1839, 0.7172, 0.0000) (multiplicity 6)  1 Os 1.92

=====

(5)
# Er3PbC

Crystalline Er3PbC at its relaxed geometry (PBE, the Materials Project database).

Computed properties:
The calculation puts the formation energy at 1655 meV/atom.

a b c (Å): 5.6253 5.6253 5.6253
angles (deg): 90.00 90.00 90.00
Last column: nearest neighbours and their distance in Å.
Space group Pm-3m (No. 221)
One atom of each set of equivalent atoms:
Er (0.0000, 0.0000, 0.5000) (multiplicity 3)  2 Pb 2.81
Pb (0.0000, 0.0000, 0.0000) (multiplicity 1)  6 Er 2.81
C (0.5000, 0.5000, 0.5000) (multiplicity 1)  12 Er 3.98

=====

(6)
# Er2ReC2

Crystalline Er2ReC2 at its relaxed geometry (PBE, the Materials Project database).

Computed properties:
The calculation puts the formation energy at -449 meV/atom.

a b c (Å): 6.5342 5.0648 9.7928
angles (deg): 90.00 90.00 90.00
Last column: nearest neighbours and their distance in Å.
Space group Pnma (No. 62)
One atom of each set of equivalent atoms:
Er (0.0336, 0.2500, 0.2172) (multiplicity 4)  4 C 2.50-2.64
Er (0.1786, 0.2500, 0.5568) (multiplicity 4)  5 C 2.48-2.55
Re (0.2183, 0.2500, 0.8678) (multiplicity 4)  3 C 1.93-2.04
C (0.0486, 0.7500, 0.2410) (multiplicity 4)  2 Re 1.96-2.04
C (0.1751, 0.7500, 0.5521) (multiplicity 4)  1 Re 1.93

=====

(7)
# Er8Rh5C12

Crystalline Er8Rh5C12 at its relaxed geometry (PBE, the Materials Project database).

Computed properties:
The calculation puts the formation energy at -396 meV/atom.

a b c (Å): 27.8892 3.4848 7.4010
angles (deg): 90.00 94.13 90.00
Last column: nearest neighbours and their distance in Å.
Space group C2/m (No. 12)
One atom of each set of equivalent atoms:
Er (0.0467, 0.0000, 0.2962) (multiplicity 4)  4 C 2.62-2.92, 2 Rh 2.82
Er (0.0885, 0.0000, 0.8267) (multiplicity 4)  6 C 2.55-2.62
Er (0.2000, 0.0000, 0.6102) (multiplicity 4)  5 C 2.33-2.58
Er (0.2071, 0.0000, 0.1157) (multiplicity 4)  5 C 2.39-2.54
Rh (0.0000, 0.5000, 0.0000) (multiplicity 2)  2 C 1.96
Rh (0.1101, 0.5000, 0.4949) (multiplicity 4)  2 C 2.00-2.02
Rh (0.1160, 0.5000, 0.1284) (multiplicity 4)  2 C 2.10-2.30
C (0.0230, 0.5000, 0.7563) (multiplicity 4)  1 C 1.30
C (0.0477, 0.5000, 0.6139) (multiplicity 4)  1 C 1.30
C (0.1585, 0.5000, 0.8728) (multiplicity 4)  1 C 1.36
C (0.1682, 0.5000, 0.3469) (multiplicity 4)  1 C 1.34
C (0.2071, 0.5000, 0.8684) (multiplicity 4)  1 C 1.36
C (0.2162, 0.5000, 0.3655) (multiplicity 4)  1 C 1.34

=====

(8)
# ErRh3C

Crystalline ErRh3C at its relaxed geometry (PBE, the Materials Project database).

Computed properties:
The calculation puts the formation energy at -528 meV/atom.

a b c (Å): 4.1700 4.1700 4.1700
angles (deg): 90.00 90.00 90.00
Last column: nearest neighbours and their distance in Å.
Space group Pm-3m (No. 221)
One atom of each set of equivalent atoms:
Er (0.0000, 0.0000, 0.0000) (multiplicity 1)  12 Rh 2.95
Rh (0.0000, 0.5000, 0.5000) (multiplicity 3)  2 C 2.09
C (0.5000, 0.5000, 0.5000) (multiplicity 1)  6 Rh 2.09